An optimized crystal structure of YSnO3, computed with PBE.

Its MP2020-corrected energy is -7.86 eV/atom. The value obtained for the raw total energy is -7.4437 eV per atom. The value obtained for the density is 5598 kg/m3.

It has space group P6_3/mmc (No. 194), with a = 3.7106 Å, b = 3.7106 Å, c = 12.7170 Å, α = 90.00°, β = 90.00° and γ = 120.00°. The distinct sites, in fractional coordinates, are Y at (0.0000, 0.0000, 0.0000), Sn at (0.3333, 0.6667, 0.2500), O at (0.0000, 0.0000, 0.2500) and O at (0.3333, 0.6667, 0.0772).

An optimized crystal structure of ZnSn4O8, computed with PBE.

Its MP2020-corrected energy is -6.15 eV/atom. The value obtained for the raw total energy is -5.7241 eV per atom. As for the polymorph energy (0 for the lowest one): 69 meV/atom. The value obtained for the density is 5661 kg/m3.

It has space group R-3m (No. 166, hexagonal axes), with a = 6.6265 Å, b = 6.6265 Å, c = 15.4643 Å, α = 90.00°, β = 90.00° and γ = 120.00°. The distinct sites, in fractional coordinates, are Zn at (0.0000, 0.0000, 0.0000), Sn at (0.0000, 0.0000, 0.5000), Sn at (0.0000, 0.5000, 0.5000), O at (0.0000, 0.0000, 0.2345) and O at (0.0425, 0.5213, 0.7600).